Record 1
## ScC (PBE)

Data for a relaxed ScC crystal.

Computed properties:
offset from the most stable computed form: 1.23 eV/f.u.

Unit cell a=3.614 b=3.614 c=3.614 alpha=60.00 beta=60.00 gamma=60.00
Fractional positions:
Sc 0.000 0.000 0.000
C 0.250 0.250 0.250

Record 2
## Rb3AsI6 (PBE)

Data for a relaxed Rb3AsI6 crystal.

Computed properties:
corrected total energy (MP2020 scheme): -2.81 eV/atom

Unit cell a=8.977 b=8.977 c=8.977 alpha=60.00 beta=60.00 gamma=60.00
Fractional positions:
Rb 0.750 0.750 0.750
Rb 0.250 0.250 0.250
Rb 0.500 0.500 0.500
As 0.000 0.000 0.000
I 0.773 0.227 0.227
I 0.227 0.227 0.773
I 0.227 0.773 0.773
I 0.227 0.773 0.227
I 0.773 0.227 0.773
I 0.773 0.773 0.227

Record 3
## Mg64Si32Bi (PBE)

Data for a relaxed Mg64Si32Bi crystal.

Unit cell a=12.756 b=12.756 c=12.756 alpha=90.00 beta=90.00 gamma=90.00
Fractional positions:
Mg 0.375 0.375 0.625
Mg 0.375 0.625 0.375
Mg 0.625 0.375 0.375
Mg 0.625 0.625 0.625
Mg 0.625 0.625 0.375
Mg 0.625 0.375 0.625
Mg 0.375 0.625 0.625
Mg 0.375 0.375 0.375
Mg 0.376 0.376 0.126
Mg 0.376 0.874 0.624
Mg 0.874 0.376 0.624
Mg 0.376 0.624 0.874
Mg 0.376 0.126 0.376
Mg 0.874 0.624 0.376
Mg 0.624 0.376 0.874
Mg 0.624 0.874 0.376
Mg 0.126 0.376 0.376
Mg 0.624 0.624 0.126
Mg 0.624 0.126 0.624
Mg 0.126 0.624 0.624
Mg 0.624 0.624 0.874
Mg 0.624 0.126 0.376
Mg 0.126 0.624 0.376
Mg 0.624 0.376 0.126
Mg 0.624 0.874 0.624
Mg 0.126 0.376 0.624
Mg 0.376 0.624 0.126
Mg 0.376 0.126 0.624
Mg 0.874 0.624 0.624
Mg 0.376 0.376 0.874
Mg 0.376 0.874 0.376
Mg 0.874 0.376 0.376
Mg 0.127 0.376 0.127
Mg 0.376 0.873 0.873
Mg 0.873 0.127 0.624
Mg 0.127 0.873 0.624
Mg 0.376 0.127 0.127
Mg 0.873 0.376 0.873
Mg 0.127 0.624 0.873
Mg 0.873 0.873 0.376
Mg 0.127 0.127 0.376
Mg 0.873 0.624 0.127
Mg 0.624 0.873 0.127
Mg 0.624 0.127 0.873
Mg 0.873 0.624 0.873
Mg 0.624 0.127 0.127
Mg 0.127 0.873 0.376
Mg 0.873 0.127 0.376
Mg 0.624 0.873 0.873
Mg 0.127 0.624 0.127
Mg 0.873 0.376 0.127
Mg 0.127 0.127 0.624
Mg 0.873 0.873 0.624
Mg 0.127 0.376 0.873
Mg 0.376 0.127 0.873
Mg 0.376 0.873 0.127
Mg 0.866 0.866 0.134
Mg 0.866 0.134 0.866
Mg 0.134 0.866 0.866
Mg 0.134 0.134 0.134
Mg 0.134 0.134 0.866
Mg 0.134 0.866 0.134
Mg 0.866 0.134 0.134
Mg 0.866 0.866 0.866
Si 0.252 0.252 0.748
Si 0.252 0.748 0.252
Si 0.748 0.252 0.252
Si 0.748 0.748 0.748
Si 0.748 0.748 0.252
Si 0.748 0.252 0.748
Si 0.252 0.748 0.748
Si 0.252 0.252 0.252
Si 0.000 0.000 0.752
Si 0.000 0.248 0.000
Si 0.248 0.000 0.000
Si 0.000 0.000 0.248
Si 0.000 0.752 0.000
Si 0.752 0.000 0.000
Si 0.000 0.500 0.752
Si 0.500 0.248 0.000
Si 0.248 0.000 0.500
Si 0.000 0.248 0.500
Si 0.500 0.000 0.752
Si 0.248 0.500 0.000
Si 0.000 0.500 0.248
Si 0.500 0.752 0.000
Si 0.000 0.752 0.500
Si 0.500 0.000 0.248
Si 0.752 0.000 0.500
Si 0.752 0.500 0.000
Si 0.500 0.500 0.750
Si 0.500 0.250 0.500
Si 0.250 0.500 0.500
Si 0.500 0.500 0.250
Si 0.500 0.750 0.500
Si 0.750 0.500 0.500
Bi 0.000 0.000 0.000

Record 4
## CsLu7Se11 (PBE)

Data for a relaxed CsLu7Se11 crystal.

Computed properties:
corrected total energy (MP2020 scheme): -5.84 eV/atom

Unit cell a=10.622 b=10.622 c=19.653 alpha=90.00 beta=90.00 gamma=97.76
Fractional positions:
Cs 0.087 0.087 0.593
Cs 0.913 0.913 0.407
Cs 0.413 0.413 0.093
Cs 0.587 0.587 0.907
Lu 0.405 0.405 0.675
Lu 0.595 0.595 0.325
Lu 0.095 0.095 0.175
Lu 0.905 0.905 0.825
Lu 0.301 0.048 0.828
Lu 0.952 0.699 0.172
Lu 0.452 0.199 0.328
Lu 0.801 0.548 0.672
Lu 0.699 0.952 0.172
Lu 0.048 0.301 0.828
Lu 0.548 0.801 0.672
Lu 0.199 0.452 0.328
Lu 0.625 0.375 0.500
Lu 0.125 0.875 0.000
Lu 0.375 0.625 0.500
Lu 0.875 0.125 0.000
Lu 0.673 0.164 0.659
Lu 0.836 0.327 0.341
Lu 0.336 0.827 0.159
Lu 0.173 0.664 0.841
Lu 0.327 0.836 0.341
Lu 0.164 0.673 0.659
Lu 0.664 0.173 0.841
Lu 0.827 0.336 0.159
Lu 0.500 0.000 0.500
Lu 0.000 0.500 0.500
Lu 0.500 0.000 0.000
Lu 0.000 0.500 0.000
Se 0.462 0.213 0.582
Se 0.787 0.538 0.418
Se 0.287 0.038 0.082
Se 0.962 0.713 0.918
Se 0.538 0.787 0.418
Se 0.213 0.462 0.582
Se 0.713 0.962 0.918
Se 0.038 0.287 0.082
Se 0.627 0.369 0.746
Se 0.631 0.373 0.254
Se 0.131 0.873 0.246
Se 0.127 0.869 0.754
Se 0.373 0.631 0.254
Se 0.369 0.627 0.746
Se 0.869 0.127 0.754
Se 0.873 0.131 0.246
Se 0.340 0.832 0.583
Se 0.168 0.660 0.417
Se 0.668 0.160 0.083
Se 0.840 0.332 0.917
Se 0.660 0.168 0.417
Se 0.832 0.340 0.583
Se 0.332 0.840 0.917
Se 0.160 0.668 0.083
Se 0.702 0.956 0.583
Se 0.044 0.298 0.417
Se 0.544 0.798 0.083
Se 0.202 0.456 0.917
Se 0.298 0.044 0.417
Se 0.956 0.702 0.583
Se 0.456 0.202 0.917
Se 0.798 0.544 0.083
Se 0.237 0.237 0.746
Se 0.763 0.763 0.254
Se 0.263 0.263 0.246
Se 0.737 0.737 0.754
Se 0.075 0.075 0.910
Se 0.925 0.925 0.090
Se 0.425 0.425 0.410
Se 0.575 0.575 0.590
Se 0.511 0.011 0.750
Se 0.989 0.489 0.250
Se 0.489 0.989 0.250
Se 0.011 0.511 0.750

Record 5
## Ca3PN (PBE)

Data for a relaxed Ca3PN crystal.

Computed properties:
offset from the most stable computed form: 0.00 eV/f.u.
corrected total energy (MP2020 scheme): -5.04 eV/atom

Unit cell a=4.726 b=4.726 c=4.726 alpha=90.00 beta=90.00 gamma=90.00
Fractional positions:
Ca 0.500 0.000 0.500
Ca 0.500 0.500 0.000
Ca 0.000 0.500 0.500
P 0.000 0.000 0.000
N 0.500 0.500 0.500

Record 6
## Al2O3 (PBE)

Data for a relaxed Al2O3 crystal.

Computed properties:
corrected total energy (MP2020 scheme): -7.84 eV/atom

Unit cell a=5.375 b=5.375 c=7.268 alpha=73.78 beta=73.78 gamma=34.63
Fractional positions:
Al 0.907 0.907 0.906
Al 0.250 0.250 0.657
Al 0.093 0.093 0.094
Al 0.750 0.750 0.343
O 0.090 0.090 0.844
O 0.655 0.655 0.147
O 0.345 0.345 0.853
O 0.818 0.818 0.569
O 0.182 0.182 0.431
O 0.910 0.910 0.156

| no. | formation enthalpy at 0 K (kJ/mol of atoms) |
| --- | --- |
| 1 | 45.9 |
| 2 | -109.5 |
| 3 | -6.7 |
| 4 | -203.2 |
| 5 | -105.2 |
| 6 | -325.5 |